No. 1
Here is a relaxed structure of Cs2AgAsBr6 from the Materials Project database. Energies are from PBE.

Lattice parameters (Å, degrees): 7.8523 7.8523 7.8523 60.00 60.00 60.00
Element x y z (fractional)
Cs 0.7500 0.7500 0.7500
Cs 0.2500 0.2500 0.2500
Ag 0.5000 0.5000 0.5000
As 0.0000 0.0000 0.0000
Br 0.7576 0.2424 0.2424
Br 0.2424 0.2424 0.7576
Br 0.2424 0.7576 0.7576
Br 0.2424 0.7576 0.2424
Br 0.7576 0.2424 0.7576
Br 0.7576 0.7576 0.2424

Computed properties:
- E_tot (eV/atom) = -2.92
- energy of formation from the pure elements (eV/atom) = -1.327
- symmetry = Fm-3m, No. 225

---

No. 2
Here is a relaxed structure of TeMoWSeS2 from the Materials Project database. Energies are from PBE.

Lattice parameters (Å, degrees): 3.3090 3.3090 37.6629 90.00 90.00 120.00
Element x y z (fractional)
Te 0.3333 0.6667 0.4187
Te 0.3333 0.6667 0.5207
Mo 0.0000 0.0000 0.0939
Mo 0.3333 0.6667 0.2817
W 0.0000 0.0000 0.4697
W 0.3333 0.6667 0.6575
Se 0.0000 0.0000 0.3263
Se 0.0000 0.0000 0.2372
S 0.0000 0.0000 0.6983
S 0.3333 0.6667 0.0533
S 0.3333 0.6667 0.1346
S 0.0000 0.0000 0.6168

Computed properties:
- E_tot (eV/atom) = -7.01
- energy of formation from the pure elements (eV/atom) = -0.721
- E above lowest polymorph (eV/f.u.) = 0.23
- symmetry = P3m1, No. 156

---

No. 3
Here is a relaxed structure of LiH20C8ClO4 from the Materials Project database. Energies are from PBE.

Lattice parameters (Å, degrees): 7.7933 7.7933 12.2120 85.25 85.25 62.42
Element x y z (fractional)
Li 0.0538 0.9462 0.7500
Li 0.9462 0.0538 0.2500
H 0.1387 0.7107 0.4692
H 0.2893 0.8613 0.0308
H 0.8613 0.2893 0.5308
H 0.7107 0.1387 0.9692
H 0.2398 0.5495 0.5865
H 0.4505 0.7602 0.9135
H 0.7602 0.4505 0.4135
H 0.5495 0.2398 0.0865
H 0.4411 0.8742 0.5997
H 0.1258 0.5589 0.9003
H 0.5589 0.1258 0.4003
H 0.8742 0.4411 0.0997
H 0.4927 0.6244 0.6049
H 0.3756 0.5073 0.8951
H 0.5073 0.3756 0.3951
H 0.6244 0.4927 0.1049
H 0.4233 0.7686 0.4777
H 0.2314 0.5767 0.0223
H 0.5767 0.2314 0.5223
H 0.7686 0.4233 0.9777
H 0.8890 0.6488 0.5853
H 0.3512 0.1110 0.9147
H 0.1110 0.3512 0.4147
H 0.6488 0.8890 0.0853
H 0.8331 0.9004 0.5786
H 0.0996 0.1669 0.9214
H 0.1669 0.0996 0.4214
H 0.9004 0.8331 0.0786
H 0.7781 0.7713 0.8696
H 0.2287 0.2219 0.6304
H 0.2219 0.2287 0.1304
H 0.7713 0.7781 0.3696
H 0.6445 0.9186 0.7559
H 0.0814 0.3555 0.7441
H 0.3555 0.0814 0.2441
H 0.9186 0.6445 0.2559
H 0.7283 0.6589 0.7622
H 0.3411 0.2717 0.7378
H 0.2717 0.3411 0.2378
H 0.6589 0.7283 0.2622
C 0.1382 0.6997 0.5602
C 0.3003 0.8618 0.9398
C 0.8618 0.3003 0.4398
C 0.6997 0.1382 0.0602
C 0.4016 0.7699 0.5680
C 0.2301 0.5984 0.9320
C 0.5984 0.2301 0.4320
C 0.7699 0.4016 0.0680
C 0.9366 0.7536 0.6089
C 0.2464 0.0634 0.8911
C 0.0634 0.2464 0.3911
C 0.7536 0.9366 0.1089
C 0.7616 0.7761 0.7806
C 0.2239 0.2384 0.7194
C 0.2384 0.2239 0.2194
C 0.7761 0.7616 0.2806
Cl 0.7544 0.2456 0.7500
Cl 0.2456 0.7544 0.2500
O 0.2010 0.8299 0.5990
O 0.1701 0.7990 0.9010
O 0.7990 0.1701 0.4010
O 0.8299 0.2010 0.0990
O 0.9423 0.7482 0.7264
O 0.2518 0.0577 0.7736
O 0.0577 0.2518 0.2736
O 0.7482 0.9423 0.2264

Computed properties:
- E_tot (eV/atom) = -5.26
- energy of formation from the pure elements (eV/atom) = -0.479
- symmetry = C2/c, No. 15

---

No. 4
Here is a relaxed structure of Sn5Sb2S9 from the Materials Project database. Energies are from PBE.

Lattice parameters (Å, degrees): 11.5334 11.6248 11.6633 90.00 90.00 90.00
Element x y z (fractional)
Sn 0.5000 0.5000 0.0000
Sn 0.0000 0.5000 0.5000
Sn 0.5000 0.0000 0.5000
Sn 0.0000 0.0000 0.0000
Sn 0.4370 0.8469 0.1955
Sn 0.0630 0.1531 0.6955
Sn 0.5630 0.3469 0.3045
Sn 0.9370 0.6531 0.8045
Sn 0.5630 0.1531 0.8045
Sn 0.9370 0.8469 0.3045
Sn 0.4370 0.6531 0.6955
Sn 0.0630 0.3469 0.1955
Sn 0.1480 0.6924 0.0625
Sn 0.3520 0.3076 0.5625
Sn 0.8520 0.1924 0.4375
Sn 0.6480 0.8076 0.9375
Sn 0.8520 0.3076 0.9375
Sn 0.6480 0.6924 0.4375
Sn 0.1480 0.8076 0.5625
Sn 0.3520 0.1924 0.0625
Sb 0.2969 0.5495 0.3601
Sb 0.2031 0.4505 0.8601
Sb 0.7031 0.0495 0.1399
Sb 0.7969 0.9505 0.6399
Sb 0.7031 0.4505 0.6399
Sb 0.7969 0.5495 0.1399
Sb 0.2969 0.9505 0.8601
Sb 0.2031 0.0495 0.3601
S 0.0712 0.5555 0.2932
S 0.4288 0.4445 0.7932
S 0.9288 0.0555 0.2068
S 0.5712 0.9445 0.7068
S 0.9288 0.4445 0.7068
S 0.5712 0.5555 0.2068
S 0.0712 0.9445 0.7932
S 0.4288 0.0555 0.2932
S 0.4465 0.7939 0.4457
S 0.0535 0.2061 0.9457
S 0.5535 0.2939 0.0543
S 0.9465 0.7061 0.5543
S 0.5535 0.2061 0.5543
S 0.9465 0.7939 0.0543
S 0.4465 0.7061 0.9457
S 0.1746 0.8368 0.3276
S 0.0535 0.2939 0.4457
S 0.2872 0.0538 0.5556
S 0.7872 0.4462 0.4444
S 0.7128 0.5538 0.9444
S 0.7872 0.0538 0.9444
S 0.7128 0.9462 0.4444
S 0.2128 0.5538 0.5556
S 0.2872 0.4462 0.0556
S 0.0000 0.0000 0.5000
S 0.5000 0.0000 0.0000
S 0.0000 0.5000 0.0000
S 0.5000 0.5000 0.5000
S 0.3254 0.3368 0.3276
S 0.1746 0.6632 0.8276
S 0.6746 0.8368 0.1724
S 0.8254 0.1632 0.6724
S 0.6746 0.6632 0.6724
S 0.8254 0.3368 0.1724
S 0.3254 0.1632 0.8276
S 0.2128 0.9462 0.0556

Computed properties:
- E_tot (eV/atom) = -4.42
- energy of formation from the pure elements (eV/atom) = -0.611
- symmetry = Pbca, No. 61

---

No. 5
Here is a relaxed structure of Ba2CuCN2O2 from the Materials Project database. Energies are from PBE.

Lattice parameters (Å, degrees): 3.9524 3.9524 8.5937 90.00 90.00 90.00
Element x y z (fractional)
Ba 0.5000 0.5000 0.7229
Ba 0.5000 0.5000 0.2771
Cu 0.0000 0.0000 0.5000
C 0.0000 0.0000 0.0000
N 0.0000 0.0000 0.8552
N 0.0000 0.0000 0.1448
O 0.0000 0.5000 0.5000
O 0.5000 0.0000 0.5000

Computed properties:
- E_tot (eV/atom) = -6.68
- energy of formation from the pure elements (eV/atom) = -1.383
- symmetry = P4/mmm, No. 123

---

No. 6
Here is a relaxed structure of Er20Si12C from the Materials Project database. Energies are from PBE.

Lattice parameters (Å, degrees): 6.2962 8.3290 14.5029 90.00 90.00 89.86
Element x y z (fractional)
Er 0.5000 0.0000 0.3347
Er 0.5000 0.5000 0.8318
Er 0.5000 0.5000 0.1682
Er 0.5000 0.0000 0.6653
Er 0.0000 0.5000 0.1629
Er 0.0000 0.0000 0.6694
Er 0.0000 0.0000 0.3306
Er 0.0000 0.5000 0.8371
Er 0.7251 0.2356 0.0000
Er 0.7504 0.7476 0.5000
Er 0.7513 0.3769 0.3780
Er 0.7271 0.8793 0.8815
Er 0.7271 0.8793 0.1185
Er 0.7513 0.3769 0.6220
Er 0.2749 0.7643 0.0000
Er 0.2496 0.2524 0.5000
Er 0.2729 0.1206 0.1185
Er 0.2487 0.6232 0.6220
Er 0.2487 0.6232 0.3780
Er 0.2729 0.1206 0.8815
Si 0.7427 0.6004 0.0000
Si 0.7513 0.1055 0.5000
Si 0.7462 0.1992 0.1989
Si 0.7518 0.6976 0.6971
Si 0.7518 0.6976 0.3029
Si 0.7462 0.1992 0.8011
Si 0.2573 0.3996 0.0000
Si 0.2487 0.8945 0.5000
Si 0.2482 0.3024 0.3029
Si 0.2538 0.8008 0.8011
Si 0.2538 0.8008 0.1989
Si 0.2482 0.3024 0.6971
C 0.5000 0.0000 0.0000

Computed properties:
- E_tot (eV/atom) = -5.72
- energy of formation from the pure elements (eV/atom) = -0.697
- symmetry = P2/m, No. 10

---

No. 7
Here is a relaxed structure of CeSO6 from the Materials Project database. Energies are from PBE.

Lattice parameters (Å, degrees): 4.3245 8.7506 11.8963 90.00 90.00 90.00
Element x y z (fractional)
Ce 0.4043 0.1177 0.9263
Ce 0.9043 0.3823 0.0737
Ce 0.0957 0.8823 0.4263
Ce 0.5957 0.6177 0.5737
S 0.5999 0.0483 0.2216
S 0.0999 0.4517 0.7784
S 0.9001 0.9517 0.7216
S 0.4001 0.5483 0.2784
O 0.7639 0.1962 0.2099
O 0.2639 0.3038 0.7901
O 0.7361 0.8038 0.7099
O 0.2361 0.6962 0.2901
O 0.4366 0.0108 0.1138
O 0.9366 0.4892 0.8862
O 0.0634 0.9892 0.6138
O 0.5634 0.5108 0.3862
O 0.1304 0.9362 0.8136
O 0.6304 0.5638 0.1864
O 0.3696 0.0638 0.3136
O 0.8696 0.4362 0.6864
O 0.6828 0.0756 0.7493
O 0.1828 0.4244 0.2507
O 0.8172 0.9244 0.2493
O 0.3172 0.5756 0.7507
O 0.5590 0.8219 0.9757
O 0.0590 0.6781 0.0243
O 0.9410 0.1781 0.4757
O 0.4410 0.3219 0.5243
O 0.9054 0.1694 0.9720
O 0.4054 0.3306 0.0280
O 0.5946 0.8306 0.4720
O 0.0946 0.6694 0.5280

Computed properties:
- E_tot (eV/atom) = -6.61
- energy of formation from the pure elements (eV/atom) = -2.156
- symmetry = P2_12_12_1, No. 19

---

No. 8
Here is a relaxed structure of VGePt from the Materials Project database. Energies are from PBE.

Lattice parameters (Å, degrees): 4.1689 4.1689 4.1689 60.00 60.00 60.00
Element x y z (fractional)
V 0.7500 0.7500 0.7500
Ge 0.0000 0.0000 0.0000
Pt 0.5000 0.5000 0.5000

Computed properties:
- E_tot (eV/atom) = -6.72
- energy of formation from the pure elements (eV/atom) = -0.129
- symmetry = F-43m, No. 216

---

No. 9
Here is a relaxed structure of SrCaPrSbO6 from the Materials Project database. Energies are from PBE.

Lattice parameters (Å, degrees): 5.8881 5.8881 5.8881 60.00 60.00 60.00
Element x y z (fractional)
Sr 0.2500 0.2500 0.2500
Ca 0.0000 0.0000 0.0000
Pr 0.7500 0.7500 0.7500
Sb 0.5000 0.5000 0.5000
O 0.7370 0.2630 0.2630
O 0.2630 0.7370 0.7370
O 0.7370 0.2630 0.7370
O 0.2630 0.7370 0.2630
O 0.7370 0.7370 0.2630
O 0.2630 0.2630 0.7370

Computed properties:
- E_tot (eV/atom) = -6.69
- energy of formation from the pure elements (eV/atom) = -2.872
- E above lowest polymorph (eV/f.u.) = 1.35
- symmetry = F-43m, No. 216

---

No. 10
Here is a relaxed structure of ErGa2Ni from the Materials Project database. Energies are from PBE.

Lattice parameters (Å, degrees): 5.4048 5.4048 6.6629 90.00 90.00 135.46
Element x y z (fractional)
Er 0.5711 0.4289 0.2500
Er 0.4289 0.5711 0.7500
Ga 0.8572 0.1428 0.0545
Ga 0.1428 0.8572 0.9455
Ga 0.1428 0.8572 0.5545
Ga 0.8572 0.1428 0.4455
Ni 0.2862 0.7138 0.2500
Ni 0.7138 0.2862 0.7500

Computed properties:
- E_tot (eV/atom) = -4.76
- energy of formation from the pure elements (eV/atom) = -0.655
- symmetry = Cmcm, No. 63

---

No. 11
Here is a relaxed structure of Mn10CrN9 from the Materials Project database. Energies are from PBE.

Lattice parameters (Å, degrees): 6.4529 7.5967 15.8200 90.00 98.36 90.00
Element x y z (fractional)
Mn 0.4510 0.8513 0.1009
Mn 0.5490 0.3513 0.3991
Mn 0.5490 0.1487 0.8991
Mn 0.4510 0.6487 0.6009
Mn 0.5451 0.1215 0.5747
Mn 0.4549 0.6215 0.9253
Mn 0.4549 0.8785 0.4253
Mn 0.5451 0.3785 0.0747
Mn 0.8021 0.8155 0.7174
Mn 0.1979 0.3155 0.7826
Mn 0.1979 0.1845 0.2826
Mn 0.8021 0.6845 0.2174
Mn 0.7502 0.3263 0.7191
Mn 0.2498 0.8263 0.7809
Mn 0.2498 0.6737 0.2809
Mn 0.7502 0.1737 0.2191
Mn 0.7280 0.4278 0.8682
Mn 0.2720 0.9278 0.6318
Mn 0.2720 0.5722 0.1318
Mn 0.7280 0.0722 0.3682
Mn 0.9310 0.1394 0.8632
Mn 0.0690 0.6394 0.6368
Mn 0.0690 0.8606 0.1368
Mn 0.9310 0.3606 0.3632
Mn 0.9791 0.1267 0.6386
Mn 0.0209 0.6267 0.8614
Mn 0.0209 0.8733 0.3614
Mn 0.9791 0.3733 0.1386
Mn 0.2398 0.3785 0.5975
Mn 0.7602 0.8785 0.9025
Mn 0.7602 0.6215 0.4025
Mn 0.2398 0.1215 0.0975
Mn 0.5276 0.0417 0.7567
Mn 0.4724 0.5417 0.7433
Mn 0.4724 0.9583 0.2433
Mn 0.5276 0.4583 0.2567
Mn 0.7549 0.7949 0.5444
Mn 0.2451 0.2949 0.9556
Mn 0.2451 0.2051 0.4556
Mn 0.7549 0.7051 0.0444
Cr 0.7709 0.4527 0.5691
Cr 0.2291 0.9527 0.9309
Cr 0.2291 0.5473 0.4309
Cr 0.7709 0.0473 0.0691
N 0.5381 0.4050 0.6241
N 0.4619 0.9050 0.8759
N 0.4619 0.5950 0.3759
N 0.5381 0.0950 0.1241
N 0.5197 0.2886 0.7960
N 0.4803 0.7886 0.7040
N 0.4803 0.7114 0.2040
N 0.5197 0.2114 0.2960
N 0.8125 0.0956 0.9600
N 0.1875 0.5956 0.5400
N 0.1875 0.9044 0.0400
N 0.8125 0.4044 0.4600
N 0.4793 0.8694 0.5481
N 0.5207 0.3694 0.9519
N 0.5207 0.1306 0.4519
N 0.4793 0.6306 0.0481
N 0.7258 0.0776 0.6834
N 0.2742 0.5776 0.8166
N 0.2742 0.9224 0.3166
N 0.7258 0.4224 0.1834
N 0.9939 0.3979 0.6595
N 0.0061 0.8979 0.8405
N 0.0061 0.6021 0.3405
N 0.9939 0.1021 0.1595
N 0.0221 0.3686 0.8795
N 0.9779 0.8686 0.6205
N 0.9779 0.6314 0.1205
N 0.0221 0.1314 0.3795
N 0.2231 0.1407 0.5675
N 0.7769 0.6407 0.9325
N 0.7769 0.8593 0.4325
N 0.2231 0.3593 0.0675
N 0.2264 0.0609 0.7316
N 0.7736 0.5609 0.7684
N 0.7736 0.9391 0.2684
N 0.2264 0.4391 0.2316

Computed properties:
- E_tot (eV/atom) = -8.93
- energy of formation from the pure elements (eV/atom) = -0.279
- symmetry = P2_1/c, No. 14

---

No. 12
Here is a relaxed structure of As3Rh from the Materials Project database. Energies are from PBE.

Lattice parameters (Å, degrees): 7.4336 7.4336 7.4336 109.47 109.47 109.47
Element x y z (fractional)
As 0.8535 0.6516 0.5050
As 0.8535 0.3484 0.2019
As 0.1465 0.6516 0.7981
As 0.3484 0.4950 0.1465
As 0.1465 0.3484 0.4950
As 0.6516 0.7981 0.1465
As 0.2019 0.8535 0.3484
As 0.6516 0.5050 0.8535
As 0.7981 0.1465 0.6516
As 0.3484 0.2019 0.8535
As 0.5050 0.8535 0.6516
As 0.4950 0.1465 0.3484
Rh 0.0000 0.0000 0.5000
Rh 0.0000 0.5000 0.0000
Rh 0.5000 0.0000 0.0000
Rh 0.5000 0.5000 0.5000

Computed properties:
- E_tot (eV/atom) = -5.77
- energy of formation from the pure elements (eV/atom) = -0.434
- symmetry = Im-3, No. 204